Entry from the Materials Project database: a relaxed ErZnGa crystal (meta-GGA r2SCAN).

Values from the calculation:
- V: 115.6 Å³/cell
- E_form: -0.662 eV/atom
- SG: P6_3mc

Unit cell a=4.351 b=4.351 c=7.053 alpha=90.00 beta=90.00 gamma=120.00
Positions (direct):
Ga 0.333 0.667 0.284
Ga 0.667 0.333 0.784
Zn 0.667 0.333 0.210
Zn 0.333 0.667 0.710
Er 0.000 0.000 0.000
Er 0.000 0.000 0.500